Compound: Sr3Au2N4
Source: Materials Project
Functional: PBE
Structure: relaxed

Energy relative to the elements, eV per formula unit: -3.33

Cell lengths 6.846, 10.853, 11.312 Å; angles 90.00, 90.00, 90.00 degrees
Space group Pnna (No. 52)
Symmetry-distinct sites (fractional):
Sr: 0.125 0.141 0.059 [8 per cell]
Sr: 0.250 0.000 0.322 [4 per cell]
Au: 0.004 0.750 0.250 [4 per cell]
Au: 0.250 0.000 0.833 [4 per cell]
N: 0.030 0.584 0.349 [8 per cell]
N: 0.048 0.200 0.273 [8 per cell]